! GGA-PBE Na8MgSi5Ge3SO24, relaxed; values from VASP
! **Total energy after the MP2020 corrections**: -845.65 eV per cell
! **Calculated formation energy**: -2.5195 eV/atom
! **Space group**: P1, No. 1
! **DFT total energy**: -6.32 eV per atom
! **Total magnetization**: 0.0 μB per cell
&SYSTEM
  ibrav = 0, nat = 126, ntyp = 6
/
ATOMIC_SPECIES
Si 28.09 Si.upf
O 16.00 O.upf
Na 22.99 Na.upf
Mg 24.30 Mg.upf
Ge 72.64 Ge.upf
S 32.06 S.upf
CELL_PARAMETERS angstrom
-4.289 -4.465 -6.398
1.134 -3.657 8.011
-18.879 9.152 6.245
ATOMIC_POSITIONS crystal
Si 0.375 0.041 0.583
Si 0.621 0.666 0.916
Si 0.281 0.285 0.752
Si 0.000 0.293 0.253
Si 0.335 0.381 0.420
Si 0.660 0.041 0.082
Si 0.713 0.997 0.752
Si 0.005 0.711 0.753
Si 0.382 0.341 0.083
Si 0.961 0.627 0.084
Si 0.618 0.956 0.416
Si 0.040 0.661 0.420
Si 0.665 0.626 0.584
Si 0.046 0.380 0.916
Si 0.333 0.954 0.917
O 0.171 0.697 0.478
O 0.880 0.365 0.637
O 0.494 0.624 0.856
O 0.484 0.862 0.355
O 0.848 0.480 0.425
O 0.293 0.831 0.977
O 0.635 0.150 0.424
O 0.170 0.190 0.414
O 0.156 0.652 0.075
O 0.851 0.359 0.924
O 0.022 0.830 0.412
O 0.161 0.976 0.911
O 0.208 0.022 0.305
O 0.184 0.699 0.758
O 0.491 0.843 0.074
O 0.624 0.506 0.641
O 0.154 0.199 0.689
O 0.534 0.697 0.255
O 0.536 0.834 0.475
O 0.536 0.706 0.977
O 0.190 0.495 0.257
O 0.806 0.973 0.412
O 0.353 0.508 0.075
O 0.846 0.302 0.526
O 0.180 0.966 0.194
O 0.710 0.542 0.522
O 0.026 0.185 0.911
O 0.348 0.840 0.574
O 0.179 0.024 0.588
O 0.049 0.832 0.691
O 0.296 0.474 0.478
O 0.134 0.493 0.578
O 0.461 0.167 0.521
O 0.489 0.646 0.574
O 0.510 0.149 0.924
O 0.130 0.505 0.857
O 0.834 0.320 0.247
O 0.838 0.033 0.812
O 0.709 0.171 0.024
O 0.309 0.841 0.253
O 0.816 0.841 0.911
O 0.800 0.957 0.689
O 0.184 0.159 0.087
O 0.376 0.869 0.857
O 0.499 0.115 0.641
O 0.980 0.826 0.094
O 0.171 0.464 0.977
O 0.043 0.204 0.190
O 0.470 0.307 0.748
O 0.836 0.522 0.745
O 0.640 0.491 0.924
O 0.892 0.516 0.145
O 0.489 0.376 0.146
O 0.696 0.167 0.746
O 0.514 0.368 0.422
O 0.296 0.479 0.756
O 0.843 0.826 0.588
O 0.465 0.293 0.024
O 0.464 0.157 0.247
O 0.684 0.533 0.246
O 0.618 0.108 0.145
O 0.837 0.019 0.089
O 0.970 0.174 0.310
O 0.520 0.818 0.756
O 0.193 0.161 0.811
O 0.120 0.618 0.357
O 0.964 0.803 0.812
O 0.818 0.791 0.305
O 0.788 0.817 0.195
O 0.831 0.543 0.024
O 0.382 0.504 0.358
O 0.975 0.177 0.585
Na 0.331 0.664 0.162
Na 0.666 0.333 0.830
Na 0.334 0.298 0.916
Na 0.001 0.997 0.498
Na 0.339 0.671 0.670
Na 0.364 0.365 0.245
Na 0.308 0.333 0.588
Na 0.675 0.332 0.334
Na 0.664 0.967 0.589
Na 0.379 0.007 0.749
Na 0.995 0.623 0.246
Na 0.993 0.368 0.752
Na 0.324 0.033 0.418
Na 0.641 0.011 0.248
Na 0.964 0.667 0.915
Na 0.963 0.289 0.414
Na 0.702 0.035 0.915
Na 0.630 0.622 0.749
Na 0.307 0.969 0.081
Na 0.663 0.694 0.080
Na 0.000 0.000 0.996
Na 0.710 0.675 0.419
Na 0.032 0.342 0.081
Na 0.032 0.703 0.584
Mg 0.998 0.004 0.356
Mg 0.655 0.330 0.689
Mg 0.675 0.335 0.179
Ge 0.001 0.983 0.655
Ge 0.653 0.337 0.479
Ge 0.000 0.001 0.853
Ge 0.007 0.023 0.137
Ge 0.334 0.666 0.814
Ge 0.316 0.645 0.325
Ge 0.334 0.668 0.017
Ge 0.667 0.334 0.980
Ge 0.348 0.681 0.516
S 0.708 0.709 0.250
S 0.957 0.334 0.582
S 0.291 0.000 0.250



! GGA-PBE Na10Mg3Si6Ge5S6O48, relaxed; values from VASP
! **Total energy after the MP2020 corrections**: -1554.00 eV per cell
! **Calculated formation energy**: -2.3332 eV/atom
! **Space group**: P1, No. 1
! **DFT total energy**: -6.22 eV per atom
! **Total magnetization**: 0.0 μB per cell
&SYSTEM
  ibrav = 0, nat = 234, ntyp = 6
/
ATOMIC_SPECIES
Na 22.99 Na.upf
Ge 72.64 Ge.upf
O 16.00 O.upf
Si 28.09 Si.upf
S 32.06 S.upf
Mg 24.30 Mg.upf
CELL_PARAMETERS angstrom
17.447 0.017 0.122
-4.354 7.597 0.023
0.156 0.159 22.054
ATOMIC_POSITIONS crystal
Na 0.999 0.636 0.250
Na 0.502 0.012 0.997
Na 0.338 0.353 0.330
Na 0.167 0.662 0.162
Na 0.498 0.374 0.746
Na 0.317 0.000 0.248
Na 0.832 0.332 0.331
Na 0.327 0.689 0.081
Na 0.316 0.624 0.753
Na 0.339 0.345 0.835
Na 0.846 0.668 0.418
Na 0.665 0.031 0.416
Na 0.687 0.009 0.751
Na 0.663 0.665 0.163
Na 0.183 0.006 0.750
Na 0.001 0.002 0.502
Na 0.003 0.010 0.000
Na 0.648 0.341 0.579
Na 0.995 0.365 0.751
Na 0.991 0.305 0.419
Na 0.165 0.029 0.418
Na 0.834 0.333 0.832
Na 0.165 0.663 0.663
Na 0.165 0.309 0.920
Na 0.688 0.370 0.246
Na 0.828 0.690 0.085
Na 0.816 0.625 0.750
Na 0.661 0.664 0.663
Na 0.494 0.003 0.498
Na 0.191 0.371 0.247
Ge 0.155 0.637 0.819
Ge 0.997 0.008 0.849
Ge 0.834 0.335 0.475
Ge 0.504 0.016 0.651
Ge 0.336 0.342 0.485
Ge 0.009 0.997 0.150
Ge 0.500 0.004 0.147
Ge 0.337 0.351 0.978
Ge 0.681 0.680 0.319
Ge 0.502 0.999 0.857
Ge 0.002 0.002 0.658
Ge 0.002 0.992 0.355
Ge 0.830 0.322 0.983
Ge 0.174 0.671 0.317
Ge 0.657 0.655 0.810
O 0.186 0.495 0.354
O 0.984 0.182 0.307
O 0.079 0.447 0.973
O 0.569 0.655 0.076
O 0.086 0.975 0.911
O 0.079 0.947 0.195
O 0.401 0.847 0.188
O 0.756 0.357 0.424
O 0.585 0.144 0.093
O 0.680 0.507 0.078
O 0.914 0.022 0.087
O 0.393 0.959 0.695
O 0.735 0.294 0.024
O 0.411 0.034 0.804
O 0.684 0.883 0.859
O 0.935 0.352 0.638
O 0.576 0.497 0.579
O 0.902 0.843 0.187
O 0.244 0.360 0.143
O 0.744 0.364 0.145
O 0.238 0.124 0.639
O 0.402 0.981 0.410
O 0.259 0.346 0.427
O 0.852 0.158 0.027
O 0.607 0.028 0.305
O 0.317 0.520 0.639
O 0.729 0.160 0.527
O 0.748 0.883 0.358
O 0.741 0.125 0.637
O 0.653 0.484 0.758
O 0.489 0.144 0.590
O 0.415 0.810 0.309
O 0.983 0.810 0.811
O 0.519 0.850 0.689
O 0.154 0.488 0.756
O 0.579 0.454 0.974
O 0.904 0.827 0.910
O 0.775 0.699 0.971
O 0.755 0.694 0.256
O 0.017 0.205 0.196
O 0.822 0.127 0.138
O 0.822 0.505 0.922
O 0.760 0.639 0.861
O 0.176 0.502 0.079
O 0.758 0.647 0.579
O 0.914 0.348 0.927
O 0.078 0.209 0.692
O 0.416 0.802 0.588
O 0.083 0.143 0.091
O 0.561 0.629 0.360
O 0.523 0.219 0.195
O 0.482 0.813 0.809
O 0.755 0.869 0.076
O 0.271 0.850 0.471
O 0.941 0.520 0.140
O 0.087 0.719 0.474
O 0.561 0.498 0.854
O 0.181 0.875 0.859
O 0.748 0.138 0.920
O 0.600 0.031 0.587
O 0.100 0.039 0.311
O 0.095 0.027 0.588
O 0.440 0.514 0.138
O 0.422 0.550 0.029
O 0.919 0.809 0.310
O 0.416 0.525 0.747
O 0.924 0.301 0.527
O 0.656 0.851 0.971
O 0.920 0.527 0.746
O 0.773 0.832 0.475
O 0.255 0.870 0.079
O 0.734 0.148 0.243
O 0.009 0.168 0.908
O 0.069 0.653 0.075
O 0.325 0.126 0.140
O 0.483 0.802 0.089
O 0.052 0.481 0.855
O 0.243 0.160 0.248
O 0.082 0.180 0.407
O 0.679 0.867 0.576
O 0.240 0.307 0.744
O 0.920 0.806 0.587
O 0.581 0.212 0.691
O 0.255 0.649 0.576
O 0.650 0.826 0.256
O 0.896 0.945 0.691
O 0.178 0.866 0.578
O 0.847 0.525 0.248
O 0.256 0.886 0.361
O 0.688 0.500 0.356
O 0.225 0.152 0.527
O 0.234 0.294 0.021
O 0.739 0.310 0.745
O 0.584 0.170 0.409
O 0.245 0.133 0.918
O 0.756 0.815 0.761
O 0.919 0.041 0.809
O 0.319 0.488 0.921
O 0.351 0.159 0.029
O 0.925 0.491 0.424
O 0.583 0.474 0.255
O 0.416 0.023 0.087
O 0.587 0.975 0.912
O 0.824 0.157 0.424
O 0.342 0.152 0.744
O 0.266 0.837 0.756
O 0.913 0.988 0.405
O 0.144 0.453 0.474
O 0.651 0.455 0.479
O 0.150 0.811 0.261
O 0.982 0.800 0.087
O 0.008 0.836 0.409
O 0.417 0.346 0.926
O 0.921 0.309 0.243
O 0.096 0.706 0.760
O 0.431 0.500 0.422
O 0.102 0.164 0.811
O 0.590 0.966 0.196
O 0.248 0.630 0.855
O 0.065 0.622 0.355
O 0.576 0.695 0.470
O 0.843 0.164 0.744
O 0.986 0.164 0.588
O 0.591 0.708 0.755
O 0.422 0.308 0.242
O 0.509 0.176 0.905
O 0.350 0.546 0.528
O 0.318 0.136 0.422
O 0.823 0.516 0.637
O 0.277 0.711 0.977
O 0.079 0.463 0.253
O 0.851 0.547 0.527
O 0.434 0.351 0.646
O 0.256 0.696 0.256
O 0.028 0.846 0.692
O 0.921 0.543 0.030
O 0.414 0.845 0.906
O 0.343 0.517 0.245
O 0.511 0.819 0.409
O 0.066 0.487 0.579
O 0.152 0.845 0.971
O 0.412 0.296 0.524
O 0.595 0.152 0.809
O 0.487 0.186 0.305
Si 0.315 0.677 0.917
Si 0.857 0.721 0.250
Si 0.499 0.721 0.751
Si 0.145 0.290 0.751
Si 0.145 0.995 0.253
Si 0.813 0.957 0.418
Si 0.661 0.368 0.419
Si 0.478 0.332 0.586
Si 0.026 0.669 0.417
Si 0.013 0.363 0.919
Si 0.359 0.711 0.252
Si 0.854 0.994 0.752
Si 0.185 0.329 0.085
Si 0.171 0.379 0.418
Si 0.642 0.286 0.753
Si 0.686 0.330 0.086
Si 0.520 0.371 0.918
Si 0.004 0.718 0.754
S 0.998 0.285 0.250
S 0.166 0.954 0.916
S 0.834 0.043 0.084
S 0.334 0.047 0.084
S 0.313 0.959 0.419
S 0.480 0.625 0.084
S 0.980 0.623 0.083
S 0.668 0.957 0.917
S 0.645 0.992 0.251
S 0.838 0.630 0.584
S 0.979 0.330 0.584
S 0.355 0.998 0.751
S 0.521 0.662 0.417
S 0.689 0.042 0.584
S 0.185 0.040 0.585
S 0.333 0.628 0.584
S 0.813 0.668 0.917
S 0.502 0.296 0.250
Mg 0.664 0.661 0.518
Mg 0.498 0.999 0.353
Mg 0.165 0.650 0.016
Mg 0.331 0.339 0.186
Mg 0.831 0.334 0.185
Mg 0.336 0.344 0.686
Mg 0.835 0.336 0.690
Mg 0.163 0.659 0.517
Mg 0.661 0.649 0.018



Question: What is the calculated formation energy in the first record?
Answer: -2.5195 eV/atom